# 1
NaAuS: optimized geometry, PBE-GGA.

Results
- symmetry = No. 68

Unit cell a=13.0699 b=13.0699 c=7.1917 alpha=90.00 beta=90.00 gamma=110.60
Positions (direct):
Na 0.0056 0.3738 0.3409
Na 0.4944 0.1262 0.1591
Na 0.3738 0.0056 0.6591
Na 0.8738 0.5056 0.8409
Na 0.2509 0.2509 0.0000
Na 0.7491 0.7491 0.0000
Na 0.8873 0.1127 0.5000
Na 0.6127 0.3873 0.0000
Na 0.6262 0.9944 0.6591
Na 0.5056 0.8738 0.1591
Na 0.9944 0.6262 0.3409
Na 0.7509 0.7509 0.5000
Na 0.3873 0.6127 0.0000
Na 0.1127 0.8873 0.5000
Na 0.2491 0.2491 0.5000
Na 0.1262 0.4944 0.8409
Au 0.7500 0.2500 0.7500
Au 0.7442 0.4967 0.4705
Au 0.0033 0.7558 0.9705
Au 0.2558 0.5033 0.4705
Au 0.2500 0.7500 0.2500
Au 0.5033 0.2558 0.5295
Au 0.7500 0.2500 0.2500
Au 0.7558 0.0033 0.0295
Au 0.2500 0.7500 0.7500
Au 0.5000 0.5000 0.7191
Au 0.2442 0.9967 0.0295
Au 0.0000 0.0000 0.7809
Au 0.0000 0.0000 0.2191
Au 0.9967 0.2442 0.9705
Au 0.5000 0.5000 0.2809
Au 0.4967 0.7442 0.5295
S 0.3185 0.9395 0.2872
S 0.4395 0.8185 0.7872
S 0.5605 0.1815 0.7872
S 0.9395 0.3185 0.7128
S 0.5664 0.6913 0.2609
S 0.9336 0.8087 0.2391
S 0.3087 0.4336 0.7391
S 0.1913 0.0664 0.7609
S 0.6815 0.0605 0.2872
S 0.0664 0.1913 0.2391
S 0.4336 0.3087 0.2609
S 0.6913 0.5664 0.7391
S 0.0605 0.6815 0.7128
S 0.8087 0.9336 0.7609
S 0.1815 0.5605 0.2128
S 0.8185 0.4395 0.2128

# 2
MgMoW3Se6S2: optimized geometry, PBE-GGA.

Results
- symmetry = No. 156

Unit cell a=3.2890 b=3.2890 c=46.2688 alpha=89.99 beta=90.00 gamma=120.00
Positions (direct):
Mg 0.0000 0.0000 0.5594
S 0.6666 0.3332 0.4949
S 0.6667 0.3333 0.4286
Se 0.3333 0.6667 0.3185
Se 0.3334 0.6667 0.7020
Se 0.6665 0.3334 0.0572
Se 0.3335 0.6668 0.2455
Se 0.6665 0.3331 0.1304
Se 0.3335 0.6668 0.6285
W 0.6668 0.3334 0.6653
W 0.3333 0.6666 0.4617
W 0.3332 0.6666 0.0938
Mo 0.6667 0.3334 0.2820

# 3
TiH12C2N6F6: optimized geometry, PBE-GGA.

Results
- symmetry = No. 8

Unit cell a=7.4791 b=7.4791 c=6.3103 alpha=69.13 beta=69.13 gamma=59.71
Positions (direct):
H 0.2341 0.9238 0.8496
H 0.2335 0.4676 0.8629
H 0.9407 0.3930 0.3234
H 0.3930 0.9407 0.3234
H 0.6266 0.9493 0.3075
H 0.9180 0.4687 0.8563
H 0.3938 0.6293 0.3307
H 0.4676 0.2335 0.8629
H 0.9493 0.6266 0.3075
H 0.6293 0.3938 0.3307
H 0.4687 0.9180 0.8563
H 0.9238 0.2341 0.8496
N 0.3103 0.0000 0.8617
N 0.5550 0.5550 0.3102
N 0.5551 0.8681 0.2976
N 0.3072 0.3072 0.8770
N 0.8681 0.5551 0.2976
N 0.0000 0.3103 0.8617
F 0.7751 0.7751 0.7561
F 0.0996 0.7383 0.3835
F 0.1289 0.7718 0.7796
F 0.7383 0.0996 0.3835
F 0.7718 0.1289 0.7796
F 0.0924 0.0924 0.4029
Ti 0.9336 0.9336 0.5815
C 0.2066 0.2066 0.8644
C 0.6595 0.6595 0.3047

It is found that the formation energy values, taken in the order of the records, are -0.84; -0.63; -1.24 eV/atom.